Version i
CuMoO4: relaxed, PBE+U.

abc: 6.8112 8.5691 9.9100
angles: 96.31 106.86 100.93
Fractional coordinates of all 36 atoms:
Cu (0.5470, 0.6999, 0.4872)
Cu (0.7483, 0.3008, 0.0888)
Cu (0.2517, 0.6992, 0.9112)
Cu (0.9671, 0.8929, 0.7418)
Cu (0.0329, 0.1071, 0.2582)
Cu (0.4530, 0.3001, 0.5128)
Mo (0.9977, 0.2792, 0.6093)
Mo (0.4949, 0.9722, 0.7506)
Mo (0.6955, 0.5884, 0.8429)
Mo (0.0023, 0.7208, 0.3907)
Mo (0.5051, 0.0278, 0.2494)
Mo (0.3045, 0.4116, 0.1571)
O (0.5675, 0.8856, 0.3583)
O (0.5584, 0.5002, 0.6582)
O (0.9889, 0.8986, 0.3092)
O (0.4325, 0.1144, 0.6417)
O (0.6566, 0.0806, 0.9167)
O (0.6624, 0.8507, 0.6829)
O (0.7464, 0.4308, 0.9386)
O (0.7519, 0.1433, 0.2255)
O (0.9036, 0.5510, 0.2546)
O (0.2481, 0.8567, 0.7745)
O (0.0964, 0.4490, 0.7454)
O (0.8454, 0.7081, 0.5125)
O (0.0111, 0.1014, 0.6908)
O (0.3434, 0.9194, 0.0833)
O (0.2536, 0.5692, 0.0614)
O (0.4611, 0.3029, 0.0829)
O (0.2734, 0.7273, 0.4933)
O (0.5389, 0.6971, 0.9171)
O (0.7266, 0.2727, 0.5067)
O (0.9545, 0.7270, 0.8668)
O (0.3376, 0.1493, 0.3171)
O (0.4416, 0.4998, 0.3418)
O (0.0455, 0.2730, 0.1332)
O (0.1546, 0.2919, 0.4875)

Calculated values
**Total moment**: 2.00 μB/cell

***

Version ii
CuMoO4: relaxed, PBE+U.

abc: 4.8104 4.9513 6.0412
angles: 86.97 79.77 85.62
Fractional coordinates of all 12 atoms:
Cu (0.4901, 0.7462, 0.1551)
Cu (0.5099, 0.2538, 0.8449)
Mo (0.9714, 0.2569, 0.3290)
Mo (0.0286, 0.7431, 0.6710)
O (0.7262, 0.9043, 0.8800)
O (0.7888, 0.4277, 0.6234)
O (0.7536, 0.4344, 0.1489)
O (0.2464, 0.5656, 0.8511)
O (0.2176, 0.0434, 0.5861)
O (0.7824, 0.9566, 0.4139)
O (0.2112, 0.5723, 0.3766)
O (0.2738, 0.0957, 0.1200)

Calculated values
**Total moment**: 0.12 μB/cell

***

Short version: version i is the most stable of them.

***

Version i
Li9Mn21O40: relaxed, PBE+U.

abc: 10.0405 10.0405 10.0405
angles: 99.60 99.60 131.79
Fractional coordinates of all 70 atoms:
Li (0.4001, 0.1999, 0.6000)
Li (0.8001, 0.4001, 0.2001)
Li (0.1999, 0.5999, 0.7999)
Li (0.4511, 0.3507, 0.3011)
Li (0.5999, 0.8001, 0.4000)
Li (0.8500, 0.5489, 0.8996)
Li (0.2500, 0.7500, 0.5000)
Li (0.6493, 0.9504, 0.1004)
Li (0.0496, 0.1500, 0.6989)
Mn (0.9252, 0.7751, 0.4500)
Mn (0.7222, 0.6719, 0.1510)
Mn (0.4287, 0.2778, 0.9497)
Mn (0.3277, 0.9744, 0.0512)
Mn (0.1250, 0.8730, 0.7472)
Mn (0.7235, 0.6723, 0.6468)
Mn (0.8249, 0.4746, 0.5499)
Mn (0.7250, 0.1751, 0.6497)
Mn (0.5254, 0.0753, 0.3503)
Mn (0.1270, 0.8742, 0.2520)
Mn (0.2249, 0.6748, 0.1500)
Mn (0.1258, 0.3778, 0.2528)
Mn (0.9232, 0.2765, 0.9488)
Mn (0.0000, 0.0000, 0.0000)
Mn (0.5248, 0.0748, 0.8500)
Mn (0.6222, 0.8750, 0.7480)
Mn (0.5210, 0.5713, 0.8490)
Mn (0.3252, 0.4752, 0.5500)
Mn (0.9247, 0.2750, 0.4501)
Mn (0.0256, 0.0768, 0.3532)
Mn (0.3281, 0.4790, 0.0503)
O (0.1513, 0.0065, 0.4345)
O (0.9725, 0.9173, 0.1658)
O (0.8831, 0.6488, 0.2556)
O (0.6576, 0.5235, 0.9553)
O (0.5515, 0.2065, 0.0342)
O (0.3725, 0.1169, 0.7656)
O (0.1933, 0.0275, 0.9448)
O (0.2832, 0.8487, 0.8552)
O (0.9670, 0.9008, 0.6447)
O (0.8776, 0.6329, 0.7338)
O (0.0563, 0.7214, 0.5543)
O (0.6986, 0.5427, 0.4649)
O (0.9511, 0.4064, 0.6341)
O (0.7723, 0.3170, 0.3659)
O (0.5936, 0.2277, 0.5447)
O (0.6830, 0.0489, 0.4553)
O (0.3671, 0.1009, 0.2448)
O (0.2786, 0.8329, 0.3349)
O (0.4573, 0.9222, 0.1559)
O (0.0992, 0.7438, 0.0661)
O (0.3512, 0.6069, 0.2344)
O (0.9935, 0.4280, 0.1448)
O (0.1723, 0.5174, 0.9658)
O (0.0827, 0.2485, 0.0552)
O (0.7663, 0.3014, 0.8441)
O (0.6777, 0.0330, 0.9339)
O (0.8562, 0.1224, 0.7552)
O (0.4980, 0.9437, 0.6651)
O (0.7515, 0.8067, 0.8342)
O (0.5720, 0.7168, 0.5655)
O (0.3931, 0.6275, 0.7444)
O (0.4826, 0.4485, 0.6549)
O (0.1671, 0.5020, 0.4457)
O (0.0778, 0.2337, 0.5351)
O (0.2562, 0.3223, 0.3553)
O (0.8991, 0.1438, 0.2662)
O (0.7935, 0.8277, 0.3451)
O (0.5681, 0.7023, 0.0447)
O (0.4765, 0.4319, 0.1341)
O (0.2977, 0.3424, 0.8659)

Calculated values
**Total moment**: 76.00 μB/cell

***

Version ii
Li9Mn21O40: relaxed, PBE+U.

abc: 6.0495 6.0509 21.0794
angles: 97.69 97.35 93.93
Fractional coordinates of all 70 atoms:
Li (0.2708, 0.0301, 0.0485)
Li (0.8816, 0.6168, 0.2527)
Li (0.9264, 0.1750, 0.3516)
Li (0.4661, 0.2316, 0.4519)
Li (0.5389, 0.7645, 0.5508)
Li (0.6615, 0.4366, 0.8488)
Li (0.0644, 0.8373, 0.6502)
Li (0.1358, 0.3624, 0.7496)
Li (0.7352, 0.9633, 0.9479)
Mn (0.9940, 0.4992, 0.9955)
Mn (0.0940, 0.1008, 0.2017)
Mn (0.4987, 0.5046, 0.9981)
Mn (0.8072, 0.8013, 0.1005)
Mn (0.8025, 0.2900, 0.0966)
Mn (0.6034, 0.1071, 0.2010)
Mn (0.3214, 0.5847, 0.1496)
Mn (0.2059, 0.6950, 0.4031)
Mn (0.3962, 0.9081, 0.3043)
Mn (0.5998, 0.6000, 0.6996)
Mn (0.3003, 0.2993, 0.6004)
Mn (0.7056, 0.6919, 0.4001)
Mn (0.0003, 0.0006, 0.4999)
Mn (0.3939, 0.4037, 0.3022)
Mn (0.8001, 0.2994, 0.6005)
Mn (0.5994, 0.0995, 0.6998)
Mn (0.0010, 0.5003, 0.5017)
Mn (0.1987, 0.6987, 0.8978)
Mn (0.3996, 0.8986, 0.7990)
Mn (0.9001, 0.8995, 0.7991)
Mn (0.2011, 0.1990, 0.8986)
O (0.0447, 0.0384, 0.1087)
O (0.7665, 0.7143, 0.0029)
O (0.5716, 0.0635, 0.1066)
O (0.7616, 0.2681, 0.0012)
O (0.0289, 0.5293, 0.0900)
O (0.1588, 0.1649, 0.2950)
O (0.5699, 0.5596, 0.0940)
O (0.8618, 0.8648, 0.1975)
O (0.8648, 0.3126, 0.1955)
O (0.3407, 0.8922, 0.2075)
O (0.1864, 0.6428, 0.3080)
O (0.6066, 0.1686, 0.2980)
O (0.6313, 0.6384, 0.3064)
O (0.3384, 0.3427, 0.2084)
O (0.9729, 0.9089, 0.4043)
O (0.2136, 0.2670, 0.5057)
O (0.5672, 0.5120, 0.6048)
O (0.0305, 0.5342, 0.5948)
O (0.4364, 0.9280, 0.3977)
O (0.7687, 0.2684, 0.5064)
O (0.9738, 0.4652, 0.4085)
O (0.5699, 0.0661, 0.6059)
O (0.2350, 0.7322, 0.4957)
O (0.6327, 0.6864, 0.7941)
O (0.0330, 0.0870, 0.5952)
O (0.4360, 0.4793, 0.3968)
O (0.7883, 0.7338, 0.4952)
O (0.3865, 0.3322, 0.6948)
O (0.1687, 0.6651, 0.8041)
O (0.6297, 0.1328, 0.7933)
O (0.8325, 0.3316, 0.6939)
O (0.3671, 0.8676, 0.7051)
O (0.4117, 0.4666, 0.9028)
O (0.8129, 0.8675, 0.7044)
O (0.1673, 0.1112, 0.8037)
O (0.4322, 0.9296, 0.8924)
O (0.2272, 0.7330, 0.9910)
O (0.9651, 0.4672, 0.9026)
O (0.2318, 0.2881, 0.9932)
O (0.9864, 0.9321, 0.8935)

Calculated values
**Total moment**: 76.00 μB/cell

***

Short version: version ii is the most stable of them.

***

Version i
CoP2O7: relaxed, PBE+U.

abc: 6.1472 6.1472 12.9290
angles: 75.27 75.27 80.95
Fractional coordinates of all 40 atoms:
Co (0.4144, 0.8778, 0.8562)
Co (0.1222, 0.5856, 0.6438)
Co (0.8778, 0.4144, 0.3562)
Co (0.5856, 0.1222, 0.1438)
P (0.0791, 0.2488, 0.1382)
P (0.2488, 0.0791, 0.6382)
P (0.4143, 0.3324, 0.9306)
P (0.3324, 0.4143, 0.4306)
P (0.6676, 0.5857, 0.5694)
P (0.9209, 0.7512, 0.8618)
P (0.7512, 0.9209, 0.3618)
P (0.5857, 0.6676, 0.0694)
O (0.8058, 0.6056, 0.9805)
O (0.3547, 0.1894, 0.8622)
O (0.1894, 0.3547, 0.3622)
O (0.5997, 0.2047, 0.9925)
O (0.5686, 0.0335, 0.2965)
O (0.4409, 0.5210, 0.6458)
O (0.0335, 0.5686, 0.7965)
O (0.5210, 0.4409, 0.1458)
O (0.8106, 0.6453, 0.6378)
O (0.1142, 0.9092, 0.6188)
O (0.7295, 0.9159, 0.8210)
O (0.0908, 0.8858, 0.8812)
O (0.8858, 0.0908, 0.3812)
O (0.5591, 0.4790, 0.3542)
O (0.9665, 0.4314, 0.2035)
O (0.9159, 0.7295, 0.3210)
O (0.7953, 0.4003, 0.5075)
O (0.6453, 0.8106, 0.1378)
O (0.3944, 0.1942, 0.5195)
O (0.1942, 0.3944, 0.0195)
O (0.4790, 0.5591, 0.8542)
O (0.9092, 0.1142, 0.1188)
O (0.2047, 0.5997, 0.4925)
O (0.0841, 0.2705, 0.6790)
O (0.2705, 0.0841, 0.1790)
O (0.4003, 0.7953, 0.0075)
O (0.4314, 0.9665, 0.7035)
O (0.6056, 0.8058, 0.4805)

Calculated values
**Total moment**: 4.00 μB/cell

***

Version ii
CoP2O7: relaxed, PBE+U.

abc: 5.1935 8.2071 13.6991
angles: 69.83 90.00 90.00
Fractional coordinates of all 40 atoms:
Co (0.2604, 0.2705, 0.1400)
Co (0.2396, 0.2705, 0.6400)
Co (0.7604, 0.7295, 0.3600)
Co (0.7396, 0.7295, 0.8600)
P (0.7247, 0.1691, 0.3027)
P (0.2702, 0.6957, 0.5201)
P (0.7702, 0.3043, 0.9799)
P (0.7753, 0.1691, 0.8027)
P (0.2247, 0.8309, 0.1973)
P (0.2298, 0.6957, 0.0201)
P (0.7298, 0.3043, 0.4799)
P (0.2753, 0.8309, 0.6973)
O (0.5359, 0.7423, 0.7342)
O (0.2391, 0.8333, 0.5803)
O (0.0558, 0.7282, 0.7651)
O (0.7020, 0.4831, 0.9007)
O (0.5508, 0.7043, 0.4851)
O (0.0508, 0.2957, 0.0149)
O (0.5835, 0.2389, 0.0705)
O (0.2020, 0.5169, 0.5993)
O (0.7200, 0.9787, 0.3123)
O (0.5558, 0.2718, 0.7349)
O (0.2200, 0.0213, 0.1877)
O (0.7391, 0.1667, 0.9197)
O (0.0359, 0.2577, 0.7658)
O (0.0835, 0.7611, 0.4295)
O (0.9165, 0.2389, 0.5705)
O (0.9641, 0.7423, 0.2342)
O (0.2609, 0.8333, 0.0803)
O (0.7800, 0.9787, 0.8123)
O (0.4442, 0.7282, 0.2651)
O (0.2800, 0.0213, 0.6877)
O (0.7980, 0.4831, 0.4007)
O (0.4165, 0.7611, 0.9295)
O (0.9492, 0.7043, 0.9851)
O (0.4492, 0.2957, 0.5149)
O (0.2980, 0.5169, 0.0993)
O (0.9442, 0.2718, 0.2349)
O (0.7609, 0.1667, 0.4197)
O (0.4641, 0.2577, 0.2658)

Calculated values
**Total moment**: 4.00 μB/cell

***

Version iii
CoP2O7: relaxed, PBE+U.

abc: 6.4265 6.3370 13.3259
angles: 78.43 77.46 99.14
Fractional coordinates of all 40 atoms:
Co (0.7369, 0.8748, 0.8509)
Co (0.7729, 0.4081, 0.3540)
Co (0.2271, 0.5919, 0.6460)
Co (0.2631, 0.1252, 0.1491)
P (0.2215, 0.7426, 0.8654)
P (0.7785, 0.2574, 0.1346)
P (0.8935, 0.9139, 0.3635)
P (0.7631, 0.5873, 0.5681)
P (0.3461, 0.6696, 0.0666)
P (0.2369, 0.4127, 0.4319)
P (0.1065, 0.0861, 0.6365)
P (0.6539, 0.3304, 0.9334)
O (0.7857, 0.3916, 0.0177)
O (0.7636, 0.1750, 0.8788)
O (0.9044, 0.5291, 0.6439)
O (0.8701, 0.9859, 0.7021)
O (0.2364, 0.8250, 0.1212)
O (0.0956, 0.4709, 0.3561)
O (0.1299, 0.0141, 0.2979)
O (0.0326, 0.8608, 0.8750)
O (0.0915, 0.1933, 0.5190)
O (0.3307, 0.4514, 0.1441)
O (0.2360, 0.9043, 0.6262)
O (0.2830, 0.5943, 0.4903)
O (0.1870, 0.5678, 0.8017)
O (0.5843, 0.7751, 0.0041)
O (0.2182, 0.2745, 0.6755)
O (0.2143, 0.6084, 0.9823)
O (0.4464, 0.3570, 0.3770)
O (0.9085, 0.8067, 0.4810)
O (0.4459, 0.8966, 0.8203)
O (0.5536, 0.6430, 0.6230)
O (0.9674, 0.1392, 0.1250)
O (0.7818, 0.7255, 0.3245)
O (0.4157, 0.2249, 0.9959)
O (0.8130, 0.4322, 0.1983)
O (0.7170, 0.4057, 0.5097)
O (0.7640, 0.0957, 0.3738)
O (0.6693, 0.5486, 0.8559)
O (0.5541, 0.1034, 0.1797)

Calculated values
**Total moment**: 4.00 μB/cell

***

Short version: version i is the most stable of them.

***

Version i
Mn2O3F: relaxed, PBE+U.

abc: 6.0312 6.3442 7.2888
angles: 90.00 114.44 90.00
Fractional coordinates of all 24 atoms:
Mn (0.0013, 0.0000, 0.0001)
Mn (0.4988, 0.0000, 0.0001)
Mn (0.5013, 0.0000, 0.5026)
Mn (0.7531, 0.5000, 0.0062)
Mn (0.9969, 0.0000, 0.4938)
Mn (0.2487, 0.5000, 0.9974)
Mn (0.7487, 0.5000, 0.4999)
Mn (0.2512, 0.5000, 0.4999)
O (0.8437, 0.0000, 0.1874)
O (0.0018, 0.3089, 0.0006)
O (0.4988, 0.3089, 0.0006)
O (0.2512, 0.1911, 0.4994)
O (0.0018, 0.6911, 0.0006)
O (0.4988, 0.6911, 0.0006)
O (0.7482, 0.1911, 0.4994)
O (0.1561, 0.0000, 0.8123)
O (0.9063, 0.5000, 0.3126)
O (0.5939, 0.5000, 0.6877)
O (0.2512, 0.8089, 0.4994)
O (0.7482, 0.8089, 0.4994)
F (0.3589, 0.0000, 0.2178)
F (0.3911, 0.5000, 0.2822)
F (0.6429, 0.0000, 0.7857)
F (0.1071, 0.5000, 0.7143)

Calculated values
**Total moment**: 28.00 μB/cell

***

Version ii
Mn2O3F: relaxed, PBE+U.

abc: 4.5973 4.5973 12.1135
angles: 90.00 90.00 92.74
Fractional coordinates of all 24 atoms:
Mn (0.0015, 0.9985, 0.6245)
Mn (0.0015, 0.9985, 0.3755)
Mn (0.9831, 0.0169, 0.1258)
Mn (0.9831, 0.0169, 0.8742)
Mn (0.5140, 0.4860, 0.0000)
Mn (0.4761, 0.5239, 0.5000)
Mn (0.5187, 0.4813, 0.2503)
Mn (0.5187, 0.4813, 0.7497)
O (0.8089, 0.1911, 0.2503)
O (0.8026, 0.1974, 0.0000)
O (0.8089, 0.1911, 0.7497)
O (0.3041, 0.3111, 0.6250)
O (0.3041, 0.3111, 0.3750)
O (0.3102, 0.3010, 0.1252)
O (0.3102, 0.3010, 0.8748)
O (0.6889, 0.6959, 0.6250)
O (0.6889, 0.6959, 0.3750)
O (0.6990, 0.6898, 0.1252)
O (0.6990, 0.6898, 0.8748)
O (0.1884, 0.8116, 0.5000)
F (0.7790, 0.2210, 0.5000)
F (0.2105, 0.7895, 0.2436)
F (0.1904, 0.8096, 0.0000)
F (0.2105, 0.7895, 0.7564)

Calculated values
**Total moment**: 28.00 μB/cell

***

Short version: version ii is the most stable of them.